The following is a r²SCAN calculation of an optimized crystal structure of Mg4CdAg5, from the Materials Project.

Cell lengths 3.3224, 3.3224, 16.4170 Å; angles 90.00, 90.00, 90.00 degrees
Sites, in units of the cell vectors:
Mg 0.5000 0.5000 0.7975
Mg 0.5000 0.5000 0.2025
Mg 0.5000 0.5000 0.4008
Mg 0.5000 0.5000 0.5992
Ag 0.0000 0.0000 0.3011
Ag 0.0000 0.0000 0.8952
Ag 0.0000 0.0000 0.1048
Ag 0.0000 0.0000 0.6989
Ag 0.0000 0.0000 0.5000
Cd 0.5000 0.5000 0.0000

Size of the total moment in μB/cell: 0.00
Energy of formation in eV per atom: -0.18
Space group: P4/mmm
Raw total energy in eV per cell: -145.37



The following is a r²SCAN calculation of an optimized crystal structure of ReH3O5, from the Materials Project.

Cell lengths 6.0339, 6.0478, 7.0347 Å; angles 112.43, 116.07, 89.52 degrees
Sites, in units of the cell vectors:
O 0.6822 0.2456 0.0456
O 0.3257 0.7393 0.9125
O 0.9359 0.8563 0.0840
O 0.3814 0.6365 0.2504
O 0.0725 0.1295 0.8767
O 0.2540 0.8979 0.5587
O 0.7560 0.0911 0.4023
O 0.8319 0.6487 0.5320
O 0.6277 0.3513 0.7097
O 0.1772 0.3379 0.4257
H 0.6994 0.2507 0.6073
H 0.6534 0.3014 0.8385
H 0.3104 0.7377 0.3532
H 0.3548 0.6854 0.1208
H 0.4444 0.3447 0.6071
H 0.5650 0.6428 0.3523
Re 0.1203 0.8527 0.7203
Re 0.8887 0.1341 0.2391

Size of the total moment in μB/cell: 0.00
Energy of formation in eV per atom: -1.32
Space group: P1
Raw total energy in eV per cell: -209.13



The following is a r²SCAN calculation of an optimized crystal structure of Cs2MgH12Se2O14, from the Materials Project.

Cell lengths 12.9704, 6.4399, 9.4545 Å; angles 73.93, 90.00, 90.00 degrees
Sites, in units of the cell vectors:
Se 0.1451 0.2585 0.3976
Se 0.3549 0.2585 0.8976
Se 0.8549 0.7415 0.6024
Se 0.6451 0.7415 0.1024
H 0.9051 0.3148 0.7959
H 0.6356 0.6838 0.5239
H 0.8644 0.6838 0.0239
H 0.5949 0.3148 0.2959
H 0.6799 0.9915 0.6497
H 0.6292 0.0904 0.2678
H 0.5931 0.9268 0.7697
H 0.1799 0.0085 0.8503
H 0.8708 0.0904 0.7678
H 0.4422 0.3364 0.5968
H 0.3201 0.0085 0.3503
H 0.0578 0.3364 0.0968
H 0.1356 0.3162 0.9761
H 0.3708 0.9096 0.7322
H 0.0949 0.6852 0.2041
H 0.8201 0.9915 0.1497
H 0.4051 0.6852 0.7041
H 0.3644 0.3162 0.4761
H 0.4069 0.0732 0.2303
H 0.0931 0.0732 0.7303
H 0.5578 0.6636 0.4032
H 0.9422 0.6636 0.9032
H 0.9069 0.9268 0.2697
H 0.1292 0.9096 0.2322
Cs 0.1484 0.6516 0.6332
Cs 0.6484 0.3484 0.8668
Cs 0.3516 0.6516 0.1332
Cs 0.8516 0.3484 0.3668
O 0.0750 0.4077 0.2597
O 0.6870 0.9620 0.1433
O 0.5722 0.8053 0.9535
O 0.1069 0.8400 0.1571
O 0.9250 0.5923 0.7403
O 0.4367 0.2874 0.5075
O 0.7445 0.5946 0.0784
O 0.8931 0.1600 0.8429
O 0.1056 0.9925 0.8336
O 0.8130 0.9620 0.6433
O 0.3931 0.8400 0.6571
O 0.5633 0.7126 0.4925
O 0.6056 0.0075 0.6664
O 0.9367 0.7126 0.9925
O 0.1870 0.0380 0.3567
O 0.3130 0.0380 0.8567
O 0.4250 0.4077 0.7597
O 0.4278 0.1947 0.0465
O 0.6069 0.1600 0.3429
O 0.0633 0.2874 0.0075
O 0.0722 0.1947 0.5465
O 0.8944 0.0075 0.1664
O 0.9278 0.8053 0.4535
O 0.2555 0.4054 0.9216
O 0.3944 0.9925 0.3336
O 0.5750 0.5923 0.2403
O 0.2445 0.4054 0.4216
O 0.7555 0.5946 0.5784
Mg 0.5000 0.0000 0.5000
Mg 0.0000 0.0000 0.0000

Size of the total moment in μB/cell: 0.00
Energy of formation in eV per atom: -1.29
Space group: P2_1/c
Raw total energy in eV per cell: -495.99



The following is a r²SCAN calculation of an optimized crystal structure of TbAu6, from the Materials Project.

Cell lengths 10.4122, 10.4122, 9.8401 Å; angles 90.00, 90.00, 90.00 degrees
Sites, in units of the cell vectors:
Au 0.9463 0.8726 0.3964
Au 0.3988 0.8988 0.5711
Au 0.6274 0.4463 0.8964
Au 0.7640 0.9300 0.8274
Au 0.9463 0.1274 0.8964
Au 0.8988 0.6012 0.4289
Au 0.0700 0.7640 0.1726
Au 0.1012 0.3988 0.4289
Au 0.8726 0.9463 0.1036
Au 0.5700 0.2640 0.3274
Au 0.9300 0.7640 0.6726
Au 0.2500 0.2500 0.2500
Au 0.3726 0.4463 0.3964
Au 0.5000 0.0000 0.8182
Au 0.3726 0.5537 0.8964
Au 0.5537 0.6274 0.1036
Au 0.0000 0.5000 0.6818
Au 0.1274 0.0537 0.1036
Au 0.4300 0.7360 0.3274
Au 0.4300 0.2640 0.8274
Au 0.5537 0.3726 0.6036
Au 0.7640 0.0700 0.3274
Au 0.2360 0.0700 0.8274
Au 0.6012 0.1012 0.5711
Au 0.0537 0.1274 0.3964
Au 0.2640 0.5700 0.1726
Au 0.0000 0.5000 0.1818
Au 0.5000 0.0000 0.3182
Au 0.3988 0.1012 0.0711
Au 0.6274 0.5537 0.3964
Au 0.1012 0.6012 0.9289
Au 0.7500 0.7500 0.2500
Au 0.5700 0.7360 0.8274
Au 0.8726 0.0537 0.6036
Au 0.0537 0.8726 0.8964
Au 0.4463 0.3726 0.1036
Au 0.7360 0.4300 0.1726
Au 0.1274 0.9463 0.6036
Au 0.6012 0.8988 0.0711
Au 0.4463 0.6274 0.6036
Au 0.2360 0.9300 0.3274
Au 0.7500 0.2500 0.7500
Au 0.0700 0.2360 0.6726
Au 0.2500 0.7500 0.7500
Au 0.7360 0.5700 0.6726
Au 0.8988 0.3988 0.9289
Au 0.2640 0.4300 0.6726
Au 0.9300 0.2360 0.1726
Tb 0.1764 0.3236 0.9608
Tb 0.3236 0.8236 0.0392
Tb 0.8236 0.6764 0.9608
Tb 0.1764 0.6764 0.4608
Tb 0.8236 0.3236 0.4608
Tb 0.6764 0.1764 0.0392
Tb 0.3236 0.1764 0.5392
Tb 0.6764 0.8236 0.5392

Size of the total moment in μB/cell: 0.00
Energy of formation in eV per atom: -0.47
Space group: P4_2/ncm
Raw total energy in eV per cell: -2704.31



The following is a r²SCAN calculation of an optimized crystal structure of RbMo3Cl7, from the Materials Project.

Cell lengths 12.3749, 12.3749, 9.5703 Å; angles 68.89, 68.89, 74.01 degrees
Sites, in units of the cell vectors:
Mo 0.1592 0.4509 0.9437
Mo 0.0182 0.6384 0.8409
Mo 0.9862 0.4317 0.8658
Mo 0.4509 0.1592 0.4437
Mo 0.6384 0.0182 0.3409
Mo 0.0138 0.5683 0.1342
Mo 0.3616 0.9818 0.6591
Mo 0.4317 0.9862 0.3658
Mo 0.5683 0.0138 0.6342
Mo 0.5491 0.8408 0.5563
Mo 0.8408 0.5491 0.0563
Mo 0.9818 0.3616 0.1591
Cl 0.8520 0.6136 0.7746
Cl 0.8426 0.4789 0.3351
Cl 0.1480 0.3864 0.2254
Cl 0.3508 0.8155 0.5769
Cl 0.1221 0.2556 0.9707
Cl 0.9677 0.3409 0.6911
Cl 0.1757 0.9594 0.8687
Cl 0.5211 0.1574 0.1649
Cl 0.2556 0.1221 0.4707
Cl 0.9594 0.1757 0.3687
Cl 0.8779 0.7444 0.0293
Cl 0.8155 0.3508 0.0769
Cl 0.6261 0.6154 0.1341
Cl 0.6492 0.1845 0.4231
Cl 0.3864 0.1480 0.7254
Cl 0.0406 0.8243 0.6313
Cl 0.8243 0.0406 0.1313
Cl 0.1574 0.5211 0.6649
Cl 0.6136 0.8520 0.2746
Cl 0.4789 0.8426 0.8351
Cl 0.1845 0.6492 0.9231
Cl 0.0323 0.6591 0.3089
Cl 0.3846 0.3739 0.3659
Cl 0.6154 0.6261 0.6341
Cl 0.3409 0.9677 0.1911
Cl 0.3739 0.3846 0.8659
Cl 0.6591 0.0323 0.8089
Cl 0.7444 0.8779 0.5293
Rb 0.5000 0.5000 0.5000
Rb 0.0687 0.9313 0.2500
Rb 0.5000 0.5000 0.0000
Rb 0.9313 0.0687 0.7500

Size of the total moment in μB/cell: 0.00
Energy of formation in eV per atom: -1.29
Space group: C2/c
Raw total energy in eV per cell: -597.70



The following is a r²SCAN calculation of an optimized crystal structure of K2SmCl5, from the Materials Project.

Cell lengths 7.9681, 8.6531, 12.7394 Å; angles 90.00, 90.00, 90.00 degrees
Sites, in units of the cell vectors:
Cl 0.1643 0.5430 0.9227
Cl 0.3357 0.5430 0.4227
Cl 0.9230 0.7500 0.5082
Cl 0.4230 0.2500 0.9918
Cl 0.8722 0.2500 0.8224
Cl 0.3357 0.9570 0.4227
Cl 0.5770 0.7500 0.0082
Cl 0.1643 0.9570 0.9227
Cl 0.3722 0.7500 0.6776
Cl 0.6643 0.4570 0.5773
Cl 0.8357 0.0430 0.0773
Cl 0.0770 0.2500 0.4918
Cl 0.1632 0.2500 0.2036
Cl 0.3368 0.2500 0.7036
Cl 0.6278 0.2500 0.3224
Cl 0.6643 0.0430 0.5773
Cl 0.6632 0.7500 0.2964
Cl 0.8368 0.7500 0.7964
Cl 0.1278 0.7500 0.1776
Cl 0.8357 0.4570 0.0773
Sm 0.4233 0.2500 0.4950
Sm 0.0767 0.2500 0.9950
Sm 0.9233 0.7500 0.0050
Sm 0.5767 0.7500 0.5050
K 0.9494 0.4954 0.3280
K 0.9494 0.0046 0.3280
K 0.5506 0.4954 0.8280
K 0.4494 0.5046 0.1720
K 0.0506 0.5046 0.6720
K 0.4494 0.9954 0.1720
K 0.5506 0.0046 0.8280
K 0.0506 0.9954 0.6720

Size of the total moment in μB/cell: 0.00
Energy of formation in eV per atom: -2.42
Space group: Pnma
Raw total energy in eV per cell: -367.73



The following is a r²SCAN calculation of an optimized crystal structure of LiAcTl2, from the Materials Project.

Cell lengths 5.4977, 5.4977, 5.4977 Å; angles 60.00, 60.00, 60.00 degrees
Sites, in units of the cell vectors:
Tl 0.5000 0.5000 0.5000
Tl 0.0000 0.0000 0.0000
Ac 0.2500 0.2500 0.2500
Li 0.7500 0.7500 0.7500

Size of the total moment in μB/cell: 0.00
Energy of formation in eV per atom: -0.39
Space group: Fm-3m
Raw total energy in eV per cell: -178.94



The following is a r²SCAN calculation of an optimized crystal structure of VClO, from the Materials Project.

Cell lengths 3.3301, 3.7627, 8.1266 Å; angles 90.00, 90.00, 90.00 degrees
Sites, in units of the cell vectors:
Cl 0.2500 0.2500 0.3222
Cl 0.7500 0.7500 0.6778
V 0.7500 0.2500 0.1137
V 0.2500 0.7500 0.8863
O 0.2500 0.2500 0.9578
O 0.7500 0.7500 0.0422

Size of the total moment in μB/cell: 4.00
Energy of formation in eV per atom: -2.16
Space group: Pmmn
Raw total energy in eV per cell: -65.41



The following is a r²SCAN calculation of an optimized crystal structure of Re2P5, from the Materials Project.

Cell lengths 7.3485, 8.2461, 8.3641 Å; angles 69.77, 67.93, 87.07 degrees
Sites, in units of the cell vectors:
Re 0.5744 0.4214 0.1426
Re 0.6958 0.8579 0.2900
Re 0.3042 0.1421 0.7100
Re 0.8217 0.4794 0.7496
Re 0.1783 0.5206 0.2504
Re 0.9430 0.9120 0.9021
Re 0.0570 0.0880 0.0979
Re 0.4256 0.5786 0.8574
P 0.1079 0.4162 0.0477
P 0.4650 0.6917 0.0561
P 0.1364 0.0402 0.3684
P 0.3757 0.4520 0.6354
P 0.6009 0.9139 0.0467
P 0.2810 0.2528 0.4034
P 0.8636 0.9598 0.6316
P 0.5350 0.3083 0.9439
P 0.3992 0.0861 0.9533
P 0.6820 0.1648 0.5347
P 0.0224 0.7824 0.1681
P 0.7300 0.1559 0.2603
P 0.1611 0.5839 0.5210
P 0.6243 0.5480 0.3646
P 0.9776 0.2176 0.8319
P 0.8389 0.4161 0.4790
P 0.7190 0.7472 0.5966
P 0.3180 0.8352 0.4653
P 0.2700 0.8441 0.7397
P 0.8921 0.5838 0.9523

Size of the total moment in μB/cell: 0.00
Energy of formation in eV per atom: -0.43
Space group: P-1
Raw total energy in eV per cell: -611.43



The following is a r²SCAN calculation of an optimized crystal structure of Er3CoSi3, from the Materials Project.

Cell lengths 4.1187, 5.5623, 12.5776 Å; angles 84.92, 80.58, 68.27 degrees
Sites, in units of the cell vectors:
Si 0.1165 0.8434 0.9236
Si 0.8835 0.1566 0.0764
Si 0.9464 0.8650 0.2423
Si 0.8602 0.7354 0.5442
Si 0.0536 0.1350 0.7577
Si 0.1399 0.2646 0.4557
Co 0.7520 0.0764 0.4195
Co 0.2480 0.9236 0.5804
Er 0.5997 0.7198 0.0808
Er 0.7470 0.7345 0.7715
Er 0.4747 0.6707 0.3798
Er 0.4003 0.2802 0.9193
Er 0.2530 0.2655 0.2286
Er 0.5253 0.3293 0.6201

Size of the total moment in μB/cell: 0.01
Energy of formation in eV per atom: -0.81
Space group: C2/m
Raw total energy in eV per cell: -294.01



The following is a r²SCAN calculation of an optimized crystal structure of Rb2Se5, from the Materials Project.

Cell lengths 6.9551, 7.2334, 18.4092 Å; angles 90.00, 90.01, 90.00 degrees
Sites, in units of the cell vectors:
Rb 0.4141 0.7428 0.3387
Rb 0.0857 0.2573 0.8387
Rb 0.6201 0.4153 0.5095
Rb 0.9143 0.7573 0.6613
Rb 0.1200 0.0846 0.4905
Rb 0.3799 0.9153 0.9905
Rb 0.5859 0.2428 0.1613
Rb 0.8800 0.5846 0.0095
Se 0.5726 0.3663 0.8743
Se 0.0389 0.8710 0.2019
Se 0.9009 0.0795 0.0185
Se 0.9611 0.3710 0.2981
Se 0.7451 0.8580 0.8494
Se 0.4612 0.1290 0.7020
Se 0.4358 0.2450 0.3394
Se 0.4008 0.4205 0.9814
Se 0.2549 0.3580 0.6506
Se 0.9357 0.2551 0.6605
Se 0.0991 0.5795 0.4815
Se 0.9273 0.6337 0.3743
Se 0.5642 0.7450 0.1606
Se 0.4274 0.8663 0.6257
Se 0.5388 0.6290 0.7980
Se 0.0643 0.7551 0.8395
Se 0.7549 0.1419 0.3493
Se 0.5992 0.9205 0.5186
Se 0.2451 0.6419 0.1507
Se 0.0727 0.1337 0.1257

Size of the total moment in μB/cell: 0.00
Energy of formation in eV per atom: -0.70
Space group: P2_12_12_1
Raw total energy in eV per cell: -417.32



The following is a r²SCAN calculation of an optimized crystal structure of NaNbO3, from the Materials Project.

Cell lengths 5.5249, 5.6113, 15.5467 Å; angles 90.00, 90.00, 90.00 degrees
Sites, in units of the cell vectors:
O 0.4549 0.4621 0.1444
O 0.6770 0.2500 0.0000
O 0.4549 0.0379 0.6444
O 0.1753 0.7779 0.2500
O 0.3230 0.7500 0.0000
O 0.0446 0.4528 0.8934
O 0.4549 0.4621 0.3556
O 0.9554 0.9528 0.6066
O 0.5451 0.9621 0.3556
O 0.0446 0.0472 0.3934
O 0.4549 0.0379 0.8556
O 0.5451 0.9621 0.1444
O 0.6770 0.2500 0.5000
O 0.9554 0.5472 0.1066
O 0.8247 0.2221 0.7500
O 0.1753 0.7221 0.7500
O 0.3230 0.7500 0.5000
O 0.8247 0.2779 0.2500
O 0.5451 0.5379 0.6444
O 0.9554 0.5472 0.3934
O 0.0446 0.0472 0.1066
O 0.0446 0.4528 0.6066
O 0.5451 0.5379 0.8556
O 0.9554 0.9528 0.8934
Na 0.7412 0.7010 0.2500
Na 0.2588 0.2990 0.7500
Na 0.2588 0.2010 0.2500
Na 0.2572 0.2500 0.5000
Na 0.7428 0.7500 0.5000
Na 0.2572 0.2500 0.0000
Na 0.7428 0.7500 0.0000
Na 0.7412 0.7990 0.7500
Nb 0.2439 0.7245 0.3747
Nb 0.7561 0.2755 0.8747
Nb 0.2439 0.7755 0.8747
Nb 0.2439 0.7245 0.1253
Nb 0.2439 0.7755 0.6253
Nb 0.7561 0.2245 0.3747
Nb 0.7561 0.2245 0.1253
Nb 0.7561 0.2755 0.6253

Size of the total moment in μB/cell: 0.00
Energy of formation in eV per atom: -2.64
Space group: Pbcm
Raw total energy in eV per cell: -475.40



What is the formula in the eleventh record?
Rb2Se5



Repeat the tenth record exactly.
The following is a r²SCAN calculation of an optimized crystal structure of Er3CoSi3, from the Materials Project.

Cell lengths 4.1187, 5.5623, 12.5776 Å; angles 84.92, 80.58, 68.27 degrees
Sites, in units of the cell vectors:
Si 0.1165 0.8434 0.9236
Si 0.8835 0.1566 0.0764
Si 0.9464 0.8650 0.2423
Si 0.8602 0.7354 0.5442
Si 0.0536 0.1350 0.7577
Si 0.1399 0.2646 0.4557
Co 0.7520 0.0764 0.4195
Co 0.2480 0.9236 0.5804
Er 0.5997 0.7198 0.0808
Er 0.7470 0.7345 0.7715
Er 0.4747 0.6707 0.3798
Er 0.4003 0.2802 0.9193
Er 0.2530 0.2655 0.2286
Er 0.5253 0.3293 0.6201

Size of the total moment in μB/cell: 0.01
Energy of formation in eV per atom: -0.81
Space group: C2/m
Raw total energy in eV per cell: -294.01



Which of these has the highest raw total energy?
VClO



What is the formula in the twelfth record?
NaNbO3